(1)
Below is a relaxed structure of ZrIr, with properties calculated at the PBE level.

a b c (Å): 3.136 3.136 3.663
angles (deg): 90.00 90.00 90.00
Element x y z (fractional)
Zr 0.000 0.000 0.000
Ir 0.500 0.500 0.500

Values from the calculation:
- E_form (eV per atom) = -0.79
- total magnetic moment (μB per atom) = 0.001



(2)
Below is a relaxed structure of Zr5Ir3, with properties calculated at the PBE level.

a b c (Å): 8.118 8.118 5.522
angles (deg): 90.00 90.00 120.00
Element x y z (fractional)
Zr 0.000 0.244 0.250
Zr 0.000 0.756 0.750
Zr 0.244 0.000 0.250
Zr 0.244 0.244 0.750
Zr 0.333 0.667 0.000
Zr 0.333 0.667 0.500
Zr 0.667 0.333 0.000
Zr 0.667 0.333 0.500
Zr 0.756 0.000 0.750
Zr 0.756 0.756 0.250
Ir 0.000 0.396 0.750
Ir 0.000 0.604 0.250
Ir 0.396 0.000 0.750
Ir 0.396 0.396 0.250
Ir 0.604 0.000 0.250
Ir 0.604 0.604 0.750

Values from the calculation:
- E_form (eV per atom) = -0.73
- distance to the lowest polymorph of the same formula (eV/f.u.) = 0.07